Version a
# PBE CuBiSeO, relaxed
# V   23.3 Å³/atom
# Calculated density   6.56 g/cm3
data_CuBiSeO
_symmetry_space_group_name_H-M 'P m m 2'
_symmetry_Int_Tables_number 25
_cell_length_a 3.2938
_cell_length_b 4.0724
_cell_length_c 6.9336
_cell_angle_alpha 90.00
_cell_angle_beta 90.00
_cell_angle_gamma 90.00
loop_
_symmetry_equiv_pos_as_xyz
'x,y,z'
'-x,-y,z'
'-x,y,z'
'x,-y,z'
loop_
_atom_site_label
_atom_site_type_symbol
_atom_site_fract_x
_atom_site_fract_y
_atom_site_fract_z
Cu1 Cu 0.0000 0.0000 0.0000
Bi1 Bi 0.0000 0.5000 0.5892
Se1 Se 0.0000 0.5000 0.1692
O1 O 0.0000 0.0000 0.7247

Version b
# PBE CuBiSeO, relaxed
# V   17.7 Å³/atom
# Calculated density   8.63 g/cm3
data_CuBiSeO
_symmetry_space_group_name_H-M 'P 4/n m m'
_symmetry_Int_Tables_number 129
_cell_length_a 3.9497
_cell_length_b 3.9497
_cell_length_c 9.0675
_cell_angle_alpha 90.00
_cell_angle_beta 90.00
_cell_angle_gamma 90.00
loop_
_symmetry_equiv_pos_as_xyz
'x,y,z'
'-x,-y,-z'
'-y+1/2,x,z'
'y+1/2,-x,-z'
'-x+1/2,-y+1/2,z'
'x+1/2,y+1/2,-z'
'y,-x+1/2,z'
'-y,x+1/2,-z'
'x+1/2,-y,-z'
'-x+1/2,y,z'
'-y,-x,-z'
'y,x,z'
'-x,y+1/2,-z'
'x,-y+1/2,z'
'y+1/2,x+1/2,-z'
'-y+1/2,-x+1/2,z'
loop_
_atom_site_label
_atom_site_type_symbol
_atom_site_fract_x
_atom_site_fract_y
_atom_site_fract_z
Cu1 Cu 0.2500 0.7500 0.0000
Bi1 Bi 0.2500 0.2500 0.3602
Se1 Se 0.2500 0.2500 0.8272
O1 O 0.2500 0.7500 0.5000

Of them, version b has the highest stability.

Version a
# PBE Sr10Cu5Bi10O29, relaxed
# V   17.2 Å³/atom
# Calculated density   6.72 g/cm3
data_Sr10Cu5Bi10O29
_symmetry_space_group_name_H-M 'P 1'
_symmetry_Int_Tables_number 1
_cell_length_a 5.4238
_cell_length_b 13.9791
_cell_length_c 25.2313
_cell_angle_alpha 81.84
_cell_angle_beta 83.92
_cell_angle_gamma 79.07
loop_
_symmetry_equiv_pos_as_xyz
'x,y,z'
loop_
_atom_site_label
_atom_site_type_symbol
_atom_site_fract_x
_atom_site_fract_y
_atom_site_fract_z
Sr1 Sr 0.0000 0.0000 0.0000
Sr2 Sr 0.9999 0.1948 0.8056
Sr3 Sr 0.1114 0.4136 0.3549
Sr4 Sr 0.1159 0.5925 0.1588
Sr5 Sr 0.1227 0.2059 0.5448
Sr6 Sr 0.1332 0.7620 0.9582
Sr7 Sr 0.1435 0.9827 0.7370
Sr8 Sr 0.4713 0.7460 0.3012
Sr9 Sr 0.4850 0.9143 0.0998
Sr10 Sr 0.4855 0.5262 0.5175
Sr11 Sr 0.4972 0.0918 0.9020
Sr12 Sr 0.5001 0.2979 0.7092
Sr13 Sr 0.6174 0.5068 0.2577
Sr14 Sr 0.6202 0.3135 0.4505
Sr15 Sr 0.6295 0.6750 0.0593
Sr16 Sr 0.6421 0.0937 0.6387
Sr17 Sr 0.6458 0.8701 0.8466
Sr18 Sr 0.9817 0.8318 0.2011
Sr19 Sr 0.9827 0.6383 0.4108
Sr20 Sr 0.9954 0.4141 0.6153
Cu1 Cu 0.0417 0.6291 0.2837
Cu2 Cu 0.0478 0.4287 0.4837
Cu3 Cu 0.0597 0.7953 0.0781
Cu4 Cu 0.0678 0.1942 0.6757
Cu5 Cu 0.0756 0.9743 0.8725
Cu6 Cu 0.5426 0.5330 0.3843
Cu7 Cu 0.5498 0.7130 0.1805
Cu8 Cu 0.5571 0.3122 0.5800
Cu9 Cu 0.5710 0.8779 0.9739
Cu10 Cu 0.5761 0.0783 0.7729
Bi1 Bi 0.2474 0.3202 0.2157
Bi2 Bi 0.2489 0.1348 0.4020
Bi3 Bi 0.2528 0.4861 0.0214
Bi4 Bi 0.2937 0.9115 0.5950
Bi5 Bi 0.3662 0.6372 0.8134
Bi6 Bi 0.3774 0.0217 0.2380
Bi7 Bi 0.3984 0.1861 0.0446
Bi8 Bi 0.4050 0.3682 0.8628
Bi9 Bi 0.4290 0.5996 0.6601
Bi10 Bi 0.4359 0.8376 0.4468
Bi11 Bi 0.6922 0.5720 0.9107
Bi12 Bi 0.7058 0.2310 0.3090
Bi13 Bi 0.7074 0.4040 0.1184
Bi14 Bi 0.7127 0.0300 0.4955
Bi15 Bi 0.7570 0.7923 0.6989
Bi16 Bi 0.7784 0.9260 0.3533
Bi17 Bi 0.8509 0.1034 0.1413
Bi18 Bi 0.8686 0.2756 0.9501
Bi19 Bi 0.8777 0.4836 0.7598
Bi20 Bi 0.8840 0.7136 0.5563
O1 O 0.0132 0.5886 0.5207
O2 O 0.1277 0.2653 0.4355
O3 O 0.1284 0.4533 0.2471
O4 O 0.1321 0.6226 0.0485
O5 O 0.1476 0.0410 0.6272
O6 O 0.2935 0.5864 0.3347
O7 O 0.2940 0.6697 0.2316
O8 O 0.2957 0.4782 0.4322
O9 O 0.3024 0.5621 0.9390
O10 O 0.3043 0.2356 0.3102
O11 O 0.3044 0.3692 0.5314
O12 O 0.3058 0.7519 0.1286
O13 O 0.3069 0.4023 0.1290
O14 O 0.3095 0.0498 0.4883
O15 O 0.3115 0.2535 0.6278
O16 O 0.3157 0.8350 0.0257
O17 O 0.3255 0.0193 0.8204
O18 O 0.3248 0.9232 0.9217
O19 O 0.3275 0.1367 0.7231
O20 O 0.3755 0.8377 0.6766
O21 O 0.4186 0.8870 0.2087
O22 O 0.4244 0.9454 0.3176
O23 O 0.4336 0.4656 0.6335
O24 O 0.4411 0.0560 0.0102
O25 O 0.4436 0.2479 0.8207
O26 O 0.4550 0.5048 0.7714
O27 O 0.4596 0.1070 0.1267
O28 O 0.4685 0.2759 0.9426
O29 O 0.5177 0.6713 0.5787
O30 O 0.6432 0.3217 0.2199
O31 O 0.6445 0.4822 0.0338
O32 O 0.6455 0.1440 0.3982
O33 O 0.6621 0.7097 0.7751
O34 O 0.6642 0.3632 0.3415
O35 O 0.6640 0.7170 0.9271
O36 O 0.6692 0.9443 0.5787
O37 O 0.6737 0.5380 0.1476
O38 O 0.6758 0.1592 0.5299
O39 O 0.7455 0.9115 0.7391
O40 O 0.7784 0.0273 0.2226
O41 O 0.7870 0.4869 0.4358
O42 O 0.7888 0.5849 0.3356
O43 O 0.7943 0.6722 0.2322
O44 O 0.7979 0.1898 0.0337
O45 O 0.8018 0.3712 0.8578
O46 O 0.8016 0.7927 0.4794
O47 O 0.8026 0.7568 0.1299
O48 O 0.8037 0.3733 0.5339
O49 O 0.8093 0.2545 0.6288
O50 O 0.8124 0.8377 0.0264
O51 O 0.8192 0.0304 0.8250
O52 O 0.8218 0.1380 0.7251
O53 O 0.8242 0.5638 0.6770
O54 O 0.8310 0.9210 0.9227
O55 O 0.9382 0.7943 0.3227
O56 O 0.9445 0.3512 0.7291
O57 O 0.9776 0.9719 0.1096
O58 O 0.9860 0.1463 0.9154

Version b
# PBE Sr10Cu5Bi10O29, relaxed
# V   16.9 Å³/atom
# Calculated density   6.82 g/cm3
data_Sr10Cu5Bi10O29
_symmetry_space_group_name_H-M 'C 1 2 1'
_symmetry_Int_Tables_number 5
_cell_length_a 27.2375
_cell_length_b 5.4034
_cell_length_c 26.9737
_cell_angle_alpha 90.00
_cell_angle_beta 113.09
_cell_angle_gamma 90.00
loop_
_symmetry_equiv_pos_as_xyz
'x,y,z'
'-x,y,-z'
'x+1/2,y+1/2,z'
'-x+1/2,y+1/2,-z'
loop_
_atom_site_label
_atom_site_type_symbol
_atom_site_fract_x
_atom_site_fract_y
_atom_site_fract_z
Sr1 Sr 0.1655 0.0057 0.2177
Sr2 Sr 0.1667 0.4941 0.3277
Sr3 Sr 0.1672 0.5048 0.1095
Sr4 Sr 0.1738 0.9962 0.4279
Sr5 Sr 0.1747 0.0067 0.0111
Sr6 Sr 0.1824 0.4923 0.5285
Sr7 Sr 0.1835 0.4999 0.9166
Sr8 Sr 0.1899 0.0000 0.8218
Sr9 Sr 0.1900 0.9992 0.6280
Sr10 Sr 0.1923 0.4958 0.7262
Cu1 Cu 0.2328 0.5003 0.2443
Cu2 Cu 0.2348 0.0030 0.1443
Cu3 Cu 0.2357 0.9970 0.3452
Cu4 Cu 0.2441 0.5027 0.0479
Cu5 Cu 0.2448 0.4948 0.4487
Bi1 Bi 0.0461 0.5762 0.1823
Bi2 Bi 0.0507 0.9204 0.2769
Bi3 Bi 0.0547 0.0083 0.0702
Bi4 Bi 0.0605 0.5059 0.3912
Bi5 Bi 0.0611 0.5478 0.9666
Bi6 Bi 0.0675 0.9694 0.4878
Bi7 Bi 0.0711 0.9813 0.8669
Bi8 Bi 0.0749 0.5153 0.5853
Bi9 Bi 0.0752 0.5175 0.7709
Bi10 Bi 0.0766 0.9767 0.6791
O1 O 0.0517 0.9296 0.1469
O2 O 0.0583 0.5518 0.3101
O3 O 0.0639 0.6314 0.0485
O4 O 0.0643 0.9031 0.4043
O5 O 0.0687 0.9350 0.9504
O6 O 0.0708 0.5821 0.8583
O7 O 0.0720 0.5732 0.4998
O8 O 0.0773 0.9164 0.7688
O9 O 0.0779 0.9136 0.5916
O10 O 0.0803 0.5771 0.6819
O11 O 0.1327 0.9925 0.3058
O12 O 0.1359 0.0626 0.1090
O13 O 0.1431 0.4842 0.9984
O14 O 0.1441 0.4705 0.4197
O15 O 0.1505 0.0162 0.5182
O16 O 0.1540 0.0160 0.9010
O17 O 0.1580 0.4793 0.6179
O18 O 0.1581 0.4802 0.8071
O19 O 0.1598 0.0137 0.7125
O20 O 0.2294 0.7454 0.1922
O21 O 0.2299 0.2561 0.2940
O22 O 0.2302 0.7508 0.2923
O23 O 0.2361 0.2478 0.1969
O24 O 0.2379 0.7575 0.0944
O25 O 0.2395 0.7444 0.3967
O26 O 0.2400 0.2538 0.0969
O27 O 0.2421 0.2446 0.3981
O28 O 0.2478 0.7461 0.4992
O29 O 0.2501 0.2503 0.0006

Version c
# PBE Sr10Cu5Bi10O29, relaxed
# V   16.9 Å³/atom
# Calculated density   6.82 g/cm3
data_Sr10Cu5Bi10O29
_symmetry_space_group_name_H-M 'P 1'
_symmetry_Int_Tables_number 1
_cell_length_a 5.4034
_cell_length_b 13.8841
_cell_length_c 25.1443
_cell_angle_alpha 81.98
_cell_angle_beta 83.83
_cell_angle_gamma 78.78
loop_
_symmetry_equiv_pos_as_xyz
'x,y,z'
loop_
_atom_site_label
_atom_site_type_symbol
_atom_site_fract_x
_atom_site_fract_y
_atom_site_fract_z
Sr1 Sr 0.0000 0.0000 0.0000
Sr2 Sr 0.0033 0.1911 0.8062
Sr3 Sr 0.3564 0.4105 0.3542
Sr4 Sr 0.3787 0.2025 0.5446
Sr5 Sr 0.3895 0.5885 0.1565
Sr6 Sr 0.4227 0.9770 0.7375
Sr7 Sr 0.4305 0.5241 0.5185
Sr8 Sr 0.4349 0.7577 0.9557
Sr9 Sr 0.4396 0.7434 0.3003
Sr10 Sr 0.4842 0.2986 0.7114
Sr11 Sr 0.4886 0.9126 0.0996
Sr12 Sr 0.5148 0.0906 0.9018
Sr13 Sr 0.8595 0.3100 0.4498
Sr14 Sr 0.8643 0.5011 0.2560
Sr15 Sr 0.8984 0.0903 0.6391
Sr16 Sr 0.9115 0.6718 0.0559
Sr17 Sr 0.9243 0.6358 0.4103
Sr18 Sr 0.9270 0.8653 0.8457
Sr19 Sr 0.9510 0.4108 0.6169
Sr20 Sr 0.9588 0.8293 0.2001
Cu1 Cu 0.1305 0.4268 0.4837
Cu2 Cu 0.1393 0.6258 0.2828
Cu3 Cu 0.1942 0.1923 0.6759
Cu4 Cu 0.1998 0.7930 0.0767
Cu5 Cu 0.2350 0.9703 0.8723
Cu6 Cu 0.6271 0.5308 0.3837
Cu7 Cu 0.6631 0.3088 0.5801
Cu8 Cu 0.6733 0.7081 0.1794
Cu9 Cu 0.7262 0.0743 0.7724
Cu10 Cu 0.7294 0.8753 0.9732
Bi1 Bi 0.0647 0.5964 0.6614
Bi2 Bi 0.1093 0.0192 0.2368
Bi3 Bi 0.1417 0.3696 0.8571
Bi4 Bi 0.1431 0.1845 0.0427
Bi5 Bi 0.2226 0.2262 0.3071
Bi6 Bi 0.2390 0.0244 0.4949
Bi7 Bi 0.2571 0.3992 0.1159
Bi8 Bi 0.2613 0.7881 0.6983
Bi9 Bi 0.3567 0.5765 0.9050
Bi10 Bi 0.5848 0.7130 0.5578
Bi11 Bi 0.6612 0.4767 0.7611
Bi12 Bi 0.6654 0.9246 0.3511
Bi13 Bi 0.6667 0.1019 0.1402
Bi14 Bi 0.6861 0.1315 0.3989
Bi15 Bi 0.6868 0.2749 0.9489
Bi16 Bi 0.6891 0.3166 0.2133
Bi17 Bi 0.7025 0.9047 0.5946
Bi18 Bi 0.7164 0.6552 0.8129
Bi19 Bi 0.7417 0.4819 0.0192
Bi20 Bi 0.9957 0.8392 0.4457
O1 O 0.0001 0.0156 0.8202
O2 O 0.0384 0.7117 0.9338
O3 O 0.0568 0.9425 0.3179
O4 O 0.0639 0.4658 0.7697
O5 O 0.0764 0.1049 0.1282
O6 O 0.0931 0.2733 0.9461
O7 O 0.2809 0.1378 0.3968
O8 O 0.2817 0.3163 0.2196
O9 O 0.2880 0.9390 0.5785
O10 O 0.3332 0.4762 0.0324
O11 O 0.3445 0.7085 0.7750
O12 O 0.3719 0.4855 0.4358
O13 O 0.3741 0.4643 0.6296
O14 O 0.3736 0.5808 0.3358
O15 O 0.3853 0.3707 0.5336
O16 O 0.3908 0.8836 0.2084
O17 O 0.4076 0.6667 0.2313
O18 O 0.4283 0.0509 0.0101
O19 O 0.4278 0.2399 0.8209
O20 O 0.4287 0.2515 0.6287
O21 O 0.4308 0.7528 0.1288
O22 O 0.4552 0.1352 0.7249
O23 O 0.4629 0.8351 0.0261
O24 O 0.4746 0.2612 0.4351
O25 O 0.4757 0.4502 0.2459
O26 O 0.4774 0.0244 0.8249
O27 O 0.4832 0.9179 0.9220
O28 O 0.5202 0.0368 0.6264
O29 O 0.5310 0.6175 0.0477
O30 O 0.6106 0.8283 0.6765
O31 O 0.6155 0.2278 0.3100
O32 O 0.6347 0.0353 0.4863
O33 O 0.6399 0.3962 0.1278
O34 O 0.6591 0.7926 0.4811
O35 O 0.7024 0.5585 0.9381
O36 O 0.7047 0.5621 0.6776
O37 O 0.7233 0.0249 0.2237
O38 O 0.7490 0.3633 0.8592
O39 O 0.7539 0.1848 0.0364
O40 O 0.7788 0.5862 0.5190
O41 O 0.8392 0.7894 0.3222
O42 O 0.8644 0.9693 0.1098
O43 O 0.8673 0.5832 0.3340
O44 O 0.8751 0.3451 0.7270
O45 O 0.8897 0.4766 0.4311
O46 O 0.8995 0.1419 0.9155
O47 O 0.8999 0.3659 0.5311
O48 O 0.9107 0.6660 0.2299
O49 O 0.9335 0.2496 0.6274
O50 O 0.9359 0.3592 0.3405
O51 O 0.9397 0.7483 0.1272
O52 O 0.9557 0.1560 0.5290
O53 O 0.9588 0.9149 0.7370
O54 O 0.9625 0.1304 0.7224
O55 O 0.9659 0.5318 0.1462
O56 O 0.9662 0.8343 0.0247
O57 O 0.9876 0.9203 0.9203
O58 O 0.9894 0.6728 0.5795

Of them, version a has the highest stability.